Entry 1:
Ba3Y5Cu3O15 (PBE-GGA, optimized geometry); space-group type = No. 14; raw total energy = -187.04 eV per formula unit; magnetization = 0.00 μB per formula unit
1.0
-9.308 7.332 1.737
-4.559 -5.822 0.148
-2.396 -7.058 16.956
O Y Cu Ba
60 20 12 12
Direct
0.070 0.520 0.826
0.930 0.668 0.993
0.264 0.813 0.336
0.232 0.647 0.991
0.268 0.647 0.491
0.731 0.996 0.835
0.232 0.467 0.175
0.430 0.520 0.326
0.732 0.533 0.325
0.901 0.505 0.586
0.401 0.495 0.914
0.570 0.668 0.493
0.736 0.187 0.664
0.941 0.352 0.322
0.232 0.169 0.502
0.768 0.831 0.498
0.439 0.836 0.987
0.559 0.352 0.822
0.428 0.007 0.839
0.237 0.324 0.329
0.072 0.007 0.339
0.268 0.169 0.002
0.441 0.648 0.178
0.071 0.177 0.162
0.059 0.648 0.678
0.939 0.164 0.513
0.596 0.843 0.748
0.928 0.993 0.661
0.429 0.177 0.662
0.570 0.480 0.674
0.096 0.157 0.752
0.930 0.480 0.174
0.099 0.495 0.414
0.571 0.823 0.338
0.599 0.505 0.086
0.763 0.676 0.671
0.737 0.676 0.171
0.561 0.164 0.013
0.263 0.324 0.829
0.768 0.353 0.009
0.764 0.187 0.164
0.430 0.332 0.507
0.732 0.353 0.509
0.269 0.004 0.165
0.768 0.533 0.825
0.572 0.993 0.161
0.070 0.332 0.007
0.929 0.823 0.838
0.904 0.843 0.248
0.404 0.157 0.252
0.919 0.166 0.916
0.769 0.996 0.335
0.081 0.834 0.084
0.268 0.467 0.675
0.236 0.813 0.836
0.231 0.004 0.665
0.732 0.831 0.998
0.581 0.166 0.416
0.061 0.836 0.487
0.419 0.834 0.584
0.287 0.470 0.416
0.412 0.547 0.583
0.912 0.453 0.917
0.440 0.193 0.921
0.575 0.136 0.755
0.075 0.864 0.745
0.285 0.141 0.750
0.425 0.864 0.245
0.560 0.807 0.079
0.088 0.547 0.083
0.787 0.530 0.084
0.713 0.530 0.584
0.215 0.141 0.250
0.940 0.807 0.579
0.213 0.470 0.916
0.060 0.193 0.421
0.715 0.859 0.250
0.588 0.453 0.417
0.785 0.859 0.750
0.925 0.136 0.255
0.665 0.864 0.416
0.660 0.520 0.752
0.335 0.136 0.584
0.835 0.864 0.916
0.340 0.480 0.248
0.659 0.192 0.083
0.165 0.136 0.084
0.160 0.480 0.748
0.840 0.520 0.252
0.159 0.808 0.417
0.341 0.808 0.917
0.841 0.192 0.583
0.604 0.616 0.917
0.896 0.616 0.417
0.108 0.008 0.925
0.901 0.306 0.758
0.608 0.992 0.575
0.401 0.694 0.742
0.396 0.384 0.083
0.392 0.008 0.425
0.099 0.694 0.242
0.104 0.384 0.583
0.599 0.306 0.258
0.892 0.992 0.075

=====

Entry 2:
Ba10Y5Cu15O34 (PBE-GGA, optimized geometry); space-group type = No. 2; energy above the lowest structure with this stoichiometry = 0 meV per atom; raw total energy = -398.11 eV per formula unit; magnetization = 0.64 μB per formula unit
1.0
3.219 -5.223 -6.102
-0.710 6.335 -6.043
10.629 2.234 6.247
O Y Ba Cu
34 5 10 15
Direct
0.525 0.549 0.622
0.938 0.375 0.152
0.824 0.648 0.620
0.725 0.950 0.622
0.876 0.251 0.377
0.176 0.352 0.380
0.024 0.048 0.620
0.877 0.253 0.848
0.275 0.050 0.378
0.776 0.552 0.380
0.667 0.836 0.840
0.224 0.448 0.620
0.468 0.436 0.840
0.475 0.451 0.378
0.123 0.747 0.152
0.532 0.564 0.160
0.576 0.152 0.380
0.976 0.952 0.380
0.124 0.749 0.623
0.062 0.625 0.848
0.924 0.348 0.621
0.376 0.752 0.380
0.206 0.912 0.000
0.794 0.088 0.000
0.600 0.693 0.000
0.333 0.164 0.160
0.324 0.149 0.622
0.269 0.037 0.840
0.624 0.248 0.620
0.424 0.848 0.620
0.076 0.652 0.379
0.676 0.851 0.378
0.400 0.307 0.000
0.731 0.963 0.160
0.900 0.800 0.501
0.300 0.600 0.501
0.500 0.000 0.500
0.100 0.200 0.499
0.700 0.400 0.499
0.436 0.873 0.181
0.564 0.127 0.819
0.169 0.322 0.812
0.364 0.728 0.819
0.831 0.678 0.188
0.036 0.073 0.182
0.756 0.528 0.812
0.636 0.272 0.181
0.964 0.927 0.818
0.244 0.472 0.188
0.371 0.242 0.356
0.229 0.957 0.644
0.028 0.556 0.643
0.829 0.158 0.642
0.771 0.043 0.356
0.171 0.842 0.358
0.500 0.500 0.000
0.972 0.444 0.357
0.301 0.104 0.000
0.893 0.287 0.000
0.629 0.758 0.644
0.699 0.896 0.000
0.107 0.713 0.000
0.429 0.357 0.644
0.571 0.643 0.356

=====

Entry 3:
Ba6Y3Cu9O20 (PBE-GGA, optimized geometry); space-group type = No. 2; raw total energy = -236.35 eV per formula unit; magnetization = 0.18 μB per formula unit
1.0
-4.293 3.101 1.516
-6.453 -5.380 2.100
0.237 -0.959 12.426
Y O Cu Ba
3 20 9 6
Direct
0.000 0.500 0.500
0.667 0.167 0.501
0.333 0.833 0.499
0.681 0.163 0.000
0.740 0.706 0.848
0.207 0.706 0.378
0.874 0.373 0.379
0.540 0.042 0.378
0.319 0.837 0.000
0.260 0.294 0.152
0.362 0.395 0.847
0.460 0.958 0.622
0.626 0.627 0.621
0.053 0.053 0.840
0.793 0.294 0.622
0.293 0.293 0.621
0.638 0.605 0.153
0.374 0.373 0.379
0.707 0.707 0.379
0.947 0.947 0.160
0.040 0.041 0.379
0.126 0.627 0.621
0.960 0.959 0.621
0.213 0.214 0.358
0.000 0.000 0.000
0.881 0.881 0.357
0.787 0.786 0.642
0.357 0.323 0.000
0.643 0.677 0.000
0.451 0.453 0.642
0.119 0.119 0.643
0.549 0.547 0.358
0.235 0.736 0.812
0.109 0.610 0.188
0.765 0.264 0.188
0.560 0.061 0.819
0.440 0.939 0.181
0.891 0.390 0.812

=====

Entry 4:
Ba10Y5Cu15O33 (PBE-GGA, optimized geometry); space-group type = No. 2; raw total energy = -392.01 eV per formula unit; magnetization = 0.06 μB per formula unit
1.0
5.506 0.000 0.000
-0.125 13.156 0.000
-2.439 -5.752 12.496
O Ba Cu Y
33 10 15 5
Direct
0.725 0.619 0.948
0.076 0.380 0.652
0.289 0.000 0.099
0.623 0.622 0.748
0.032 0.159 0.064
0.324 0.620 0.148
0.407 0.152 0.854
0.824 0.620 0.148
0.654 0.152 0.268
0.676 0.380 0.852
0.924 0.620 0.348
0.575 0.377 0.651
0.500 0.000 0.500
0.711 0.000 0.901
0.477 0.380 0.452
0.226 0.623 0.950
0.377 0.378 0.252
0.144 0.848 0.332
0.205 0.152 0.453
0.176 0.380 0.852
0.275 0.381 0.052
0.346 0.848 0.732
0.123 0.619 0.748
0.856 0.152 0.668
0.024 0.621 0.548
0.968 0.841 0.936
0.425 0.623 0.349
0.795 0.848 0.547
0.877 0.381 0.252
0.593 0.848 0.146
0.523 0.620 0.548
0.774 0.377 0.050
0.976 0.379 0.452
0.732 0.191 0.479
0.930 0.190 0.880
0.656 0.809 0.326
0.146 0.190 0.272
0.854 0.810 0.728
0.344 0.191 0.674
0.268 0.809 0.521
0.464 0.818 0.927
0.536 0.182 0.073
0.070 0.810 0.120
0.674 0.360 0.344
0.326 0.640 0.656
0.071 0.357 0.143
0.418 0.000 0.805
0.730 0.640 0.456
0.788 0.000 0.596
0.530 0.641 0.056
0.582 0.000 0.195
0.000 0.000 0.000
0.470 0.359 0.944
0.874 0.360 0.745
0.212 0.000 0.404
0.270 0.360 0.544
0.126 0.640 0.255
0.929 0.643 0.857
0.800 0.500 0.600
0.600 0.498 0.199
0.200 0.500 0.400
0.400 0.502 0.801
0.000 0.500 0.000

=====

Entry 5:
Ba4Y2Cu5O14 (PBE-GGA, optimized geometry); space-group type = No. 8; raw total energy = -155.89 eV per formula unit; magnetization = 0.61 μB per formula unit
1.0
3.893 3.881 0.000
-3.893 3.881 0.000
0.000 3.862 12.101
Cu O Ba Y
5 14 4 2
Direct
0.688 0.688 0.623
0.497 0.497 0.002
0.320 0.320 0.359
0.820 0.820 0.358
0.995 0.995 0.006
0.737 0.236 0.000
0.454 0.454 0.618
0.454 0.927 0.618
0.061 0.559 0.378
0.062 0.062 0.378
0.927 0.454 0.618
0.920 0.920 0.159
0.073 0.073 0.856
0.422 0.422 0.156
0.560 0.560 0.378
0.575 0.575 0.850
0.927 0.927 0.618
0.559 0.061 0.378
0.236 0.737 0.000
0.598 0.098 0.802
0.404 0.904 0.190
0.904 0.404 0.190
0.098 0.598 0.802
0.745 0.245 0.510
0.245 0.745 0.510

=====

Entry 6:
Ba2YCu4O8 (PBE-GGA, optimized geometry); space-group type = No. 65; energy above the lowest structure with this stoichiometry = 344 meV per atom; raw total energy = -86.42 eV per formula unit; magnetization = 0.22 μB per formula unit
1.0
-13.725 5.171 -1.080
13.207 -5.887 -2.685
-1.384 -3.494 0.854
Y Ba Cu O
1 2 4 8
Direct
0.000 0.000 0.000
0.364 0.636 0.500
0.636 0.364 0.500
0.917 0.083 0.000
0.785 0.215 0.000
0.083 0.917 0.000
0.215 0.785 0.000
0.151 0.849 0.000
0.942 0.058 0.500
0.721 0.279 0.000
0.443 0.557 0.000
0.279 0.721 0.000
0.557 0.443 0.000
0.058 0.942 0.500
0.849 0.151 0.000

=====

Entry 7:
Ba4Y2Cu6O13 (PBE-GGA, optimized geometry); space-group type = No. 47; raw total energy = -155.75 eV per formula unit; magnetization = 0.01 μB per formula unit
1.0
3.909 0.000 0.000
0.000 7.721 0.000
0.000 0.000 11.972
Ba O Y Cu
4 13 2 6
Direct
0.500 0.757 0.188
0.500 0.243 0.812
0.500 0.757 0.812
0.500 0.243 0.188
0.500 0.000 0.621
0.500 0.500 0.379
0.500 0.000 0.000
0.000 0.750 0.380
0.000 0.250 0.620
0.000 0.500 0.851
0.000 0.500 0.149
0.500 0.000 0.379
0.000 0.000 0.158
0.500 0.500 0.621
0.000 0.000 0.842
0.000 0.250 0.380
0.000 0.750 0.620
0.500 0.251 0.500
0.500 0.749 0.500
0.000 0.000 0.360
0.000 0.000 0.000
0.000 0.500 0.000
0.000 0.500 0.640
0.000 0.500 0.360
0.000 0.000 0.640

=====

Entry 8:
Ba2YCu3O7 (PBE-GGA, optimized geometry); space-group type = No. 47; raw total energy = -80.77 eV per formula unit; magnetization = 0.00 μB per formula unit
1.0
3.845 0.000 0.000
0.000 3.926 0.000
0.000 0.000 11.824
Cu Ba O Y
3 2 7 1
Direct
0.000 0.000 0.000
0.000 0.000 0.353
0.000 0.000 0.647
0.500 0.500 0.819
0.500 0.500 0.181
0.500 0.000 0.621
0.000 0.500 0.000
0.000 0.000 0.841
0.000 0.000 0.159
0.000 0.500 0.378
0.000 0.500 0.622
0.500 0.000 0.379
0.500 0.500 0.500

=====

Entry 9:
Ba2YCu3O8 (PBE-GGA, optimized geometry); space-group type = No. 123; raw total energy = -85.42 eV per formula unit; magnetization = 0.00 μB per formula unit
1.0
3.932 0.000 0.000
0.000 3.932 0.000
0.000 0.000 11.574
O Cu Y Ba
8 3 1 2
Direct
0.000 0.500 0.379
0.000 0.000 0.172
0.500 0.000 0.621
0.000 0.500 0.621
0.000 0.500 0.000
0.500 0.000 0.000
0.500 0.000 0.379
0.000 0.000 0.828
0.000 0.000 0.346
0.000 0.000 0.000
0.000 0.000 0.654
0.500 0.500 0.500
0.500 0.500 0.169
0.500 0.500 0.831

=====

In order of appearance, energy of formation = -2.7976; -2.1911; -2.1927; -2.1967; -2.2052; -1.7085; -2.2063; -2.1802; -2.0524 eV per atom.